# RbF | the Materials Project | PBE | relaxed
# E_form ... -2.873 eV per atom
# Crystal system ... cubic
# Total energy after the MP2020 corrections ... -34.56 eV for the cell shown
data_RbF
_chemical_formula_sum 'Rb4 F4'
_cell_length_a 5.739
_cell_length_b 5.739
_cell_length_c 5.739
_cell_angle_alpha 90.00
_cell_angle_beta 90.00
_cell_angle_gamma 90.00
_symmetry_space_group_name_H-M 'F m -3 m'
_symmetry_Int_Tables_number 225
_symmetry_space_group_name_Hall '-F 4 2 3'
loop_
_atom_site_label
_atom_site_fract_x
_atom_site_fract_y
_atom_site_fract_z
Rb1 0.000 0.000 0.000
F1 0.000 0.000 0.500